*a*
The following is a GGA+U calculation of a relaxed structure of Sr13Mn8O30, from the Materials Project.

a b c (Å): 6.8598 9.8402 10.6552
angles (deg): 89.43 91.69 89.61
Fractional positions:
O1 0.3245 0.2838 0.4513
O2 0.9672 0.7421 0.7900
O3 0.4876 0.8941 0.2410
O4 0.4880 0.5970 0.7493
O5 0.6888 0.2224 0.0867
O6 0.5005 0.4991 0.5023
O7 0.8386 0.4181 0.3832
O8 0.5123 0.1037 0.7620
O9 0.8721 0.0163 0.6406
O10 0.8412 0.0860 0.8869
O11 0.1299 0.9826 0.3621
O12 0.3208 0.6740 0.1612
O13 0.1616 0.5813 0.6201
O14 0.6844 0.1843 0.3344
O15 0.1600 0.5187 0.8845
O16 0.5026 0.0016 0.0051
O17 0.6614 0.7541 0.0443
O18 0.6746 0.7160 0.5504
O19 0.6906 0.2800 0.5844
O20 0.0280 0.2511 0.7136
O21 0.5122 0.4044 0.2535
O22 0.8430 0.4833 0.1195
O23 0.3099 0.7831 0.9138
O24 0.9716 0.7487 0.2882
O25 0.0324 0.2576 0.2114
O26 0.3086 0.7169 0.4169
O27 0.1586 0.9145 0.1161
O28 0.3149 0.8157 0.6662
O29 0.3368 0.2452 0.9557
O30 0.6782 0.3259 0.8392
Mn1 0.4206 0.8325 0.0734
Mn2 0.2193 0.6677 0.7828
Mn3 0.5823 0.3332 0.4249
Mn4 0.2184 0.8310 0.2802
Mn5 0.7815 0.1680 0.7221
Mn6 0.5790 0.1678 0.9281
Mn7 0.7809 0.3335 0.2198
Mn8 0.4170 0.6660 0.5771
Sr1 0.9971 0.1815 0.4693
Sr2 0.9999 0.3134 0.9670
Sr3 0.1755 0.0050 0.8227
Sr4 0.8253 0.5018 0.6735
Sr5 0.5004 0.4990 0.0012
Sr6 0.6442 0.6540 0.3060
Sr7 0.6454 0.8556 0.7919
Sr8 0.0016 0.8175 0.5329
Sr9 0.3546 0.1432 0.2088
Sr10 0.9998 0.6879 0.0342
Sr11 0.8214 0.9973 0.1756
Sr12 0.3554 0.3459 0.6961
Sr13 0.1737 0.4967 0.3264

Output
As for the spin magnetization: 0.498 μB/atom.



*b*
The following is a GGA+U calculation of a relaxed structure of Sr13Mn8O30, from the Materials Project.

a b c (Å): 8.5822 9.3651 10.2881
angles (deg): 89.16 86.14 83.81
Fractional positions:
O1 0.5848 0.4043 0.5020
O2 0.2959 0.3672 0.3845
O3 0.7172 0.6469 0.4759
O4 0.8847 0.7559 0.2924
O5 0.5617 0.0742 0.9859
O6 0.4619 0.7058 0.3888
O7 0.7464 0.3858 0.9196
O8 0.1315 0.4880 0.1785
O9 0.9123 0.7686 0.7845
O10 0.0560 0.2346 0.2432
O11 0.3588 0.1091 0.2400
O12 0.8451 0.5058 0.8787
O13 0.2713 0.3590 0.8800
O14 0.5814 0.5763 0.7210
O15 0.6922 0.5743 0.1907
O16 0.0096 0.1772 0.7486
O17 0.9010 0.0326 0.0567
O18 0.4454 0.3346 0.1208
O19 0.0050 0.4571 0.5462
O20 0.6366 0.8735 0.6787
O21 0.8161 0.1694 0.4848
O22 0.3127 0.6488 0.6023
O23 0.2452 0.0894 0.9516
O24 0.3245 0.7788 0.0957
O25 0.6700 0.1192 0.4440
O26 0.1248 0.9129 0.4439
O27 0.3941 0.0864 0.3756
O28 0.6219 0.7720 0.9344
O29 0.3338 0.1720 0.6193
O30 0.6146 0.8675 0.1877
Sr1 0.8660 0.7306 0.0557
Sr2 0.7826 0.3685 0.6737
Sr3 0.6690 0.1163 0.1935
Sr4 0.9947 0.2831 0.0054
Sr5 0.8065 0.0180 0.8445
Sr6 0.8792 0.4510 0.3423
Sr7 0.8580 0.8817 0.5082
Sr8 0.1972 0.6405 0.3739
Sr9 0.4887 0.5537 0.0051
Sr10 0.1182 0.9680 0.1985
Sr11 0.3710 0.9058 0.5552
Sr12 0.0991 0.1884 0.4898
Sr13 0.1138 0.5493 0.7318
Mn1 0.4680 0.2529 0.4617
Mn2 0.5164 0.5947 0.5460
Mn3 0.7086 0.7155 0.7702
Mn4 0.2454 0.3202 0.2206
Mn5 0.6639 0.7194 0.3086
Mn6 0.4729 0.8983 0.0511
Mn7 0.3959 0.2202 0.9798
Mn8 0.2225 0.1766 0.7801

Output
As for the spin magnetization: 0.549 μB/atom.



Which one is most stable, and which one is least stable? *a* is the most stable of them, while *b* is the least stable.